## Li3VSiO5 (GGA+U)

Data for Li3VSiO5 after structural relaxation.

Computed properties:
ΔE to the lowest computed polymorph ... 48 meV per atom
Total magnetization ... 2.0 μB/f.u.

abc: 5.1124 5.8150 6.2691
angles: 76.02 76.08 73.67
Fractional coordinates of all 20 atoms:
Li 0.0175 0.2388 0.4928
Li 0.1771 0.0509 0.1082
Li 0.1939 0.5508 0.1021
Li 0.8061 0.4492 0.8979
Li 0.8229 0.9491 0.8918
Li 0.9825 0.7612 0.5072
V 0.4023 0.3445 0.7177
V 0.5977 0.6555 0.2823
Si 0.3990 0.8500 0.7130
Si 0.6010 0.1500 0.2870
O 0.1482 0.1165 0.7838
O 0.1490 0.6711 0.7804
O 0.3403 0.4165 0.3914
O 0.3413 0.9583 0.4050
O 0.4986 0.2428 0.0236
O 0.5014 0.7572 0.9764
O 0.6587 0.0417 0.5950
O 0.6597 0.5835 0.6086
O 0.8510 0.3289 0.2196
O 0.8518 0.8835 0.2162